Record 1
# GGA-PBE CaSnS3, optimized geometry
data_CaSnS3
_chemical_formula_sum 'Ca3 Sn3 S9'
_cell_length_a 7.7473
_cell_length_b 7.7473
_cell_length_c 7.7245
_cell_angle_alpha 90.00
_cell_angle_beta 90.00
_cell_angle_gamma 120.00
_symmetry_space_group_name_H-M 'P -6 2 m'
_symmetry_Int_Tables_number 189
_symmetry_space_group_name_Hall 'P -6 -2'
loop_
_atom_site_label
_atom_site_fract_x
_atom_site_fract_y
_atom_site_fract_z
Ca1 0.0000 0.3321 0.0000
Sn1 0.0000 0.6668 0.5000
S1 0.0000 0.3326 0.5000
S2 0.0000 0.6648 0.1796
# energy of formation from the pure elements: -1.16 eV per atom
# energy: -22.72 eV/f.u.
# V: 26.77 Å³ per atom



Record 2
# GGA-PBE CaSnS3, optimized geometry
data_CaSnS3
_chemical_formula_sum 'Ca8 Sn8 S24'
_cell_length_a 6.8058
_cell_length_b 6.8058
_cell_length_c 25.4246
_cell_angle_alpha 90.00
_cell_angle_beta 90.00
_cell_angle_gamma 120.00
_symmetry_space_group_name_H-M 'P 63/m m c'
_symmetry_Int_Tables_number 194
_symmetry_space_group_name_Hall '-P 6c 2c'
loop_
_atom_site_label
_atom_site_fract_x
_atom_site_fract_y
_atom_site_fract_z
Ca1 0.0000 0.0000 0.0000
Ca2 0.0000 0.0000 0.2500
Ca3 0.3333 0.6667 0.0863
Sn1 0.3333 0.6667 0.5664
Sn2 0.3333 0.6667 0.6886
S1 0.0000 0.5000 0.0000
S2 0.0045 0.5022 0.2500
S3 0.1616 0.3233 0.6227
# energy of formation from the pure elements: -1.01 eV per atom
# energy: -21.97 eV/f.u.
# V: 25.50 Å³ per atom



Record 3
# GGA-PBE CaSnS3, optimized geometry
data_CaSnS3
_chemical_formula_sum 'Ca9 Sn9 S27'
_cell_length_a 6.7628
_cell_length_b 6.7628
_cell_length_c 28.2896
_cell_angle_alpha 90.00
_cell_angle_beta 90.00
_cell_angle_gamma 120.00
_symmetry_space_group_name_H-M 'R -3 m'
_symmetry_Int_Tables_number 166
_symmetry_space_group_name_Hall '-R 3 2"'
loop_
_atom_site_label
_atom_site_fract_x
_atom_site_fract_y
_atom_site_fract_z
Ca1 0.0000 0.0000 0.0000
Ca2 0.0000 0.0000 0.2167
Sn1 0.0000 0.0000 0.3896
Sn2 0.0000 0.0000 0.5000
S1 0.0000 0.5000 0.0000
S2 0.0138 0.5069 0.7784
# energy of formation from the pure elements: -0.95 eV per atom
# energy: -21.68 eV/f.u.
# V: 24.90 Å³ per atom



Record 4
# GGA-PBE CaSnS3, optimized geometry
data_CaSnS3
_chemical_formula_sum 'Ca6 Sn6 S18'
_cell_length_a 6.994
_cell_length_b 10.741
_cell_length_c 12.558
_cell_angle_alpha 110.23
_cell_angle_beta 90.25
_cell_angle_gamma 92.73
_symmetry_space_group_name_H-M 'P 1'
_symmetry_Int_Tables_number 1
loop_
_symmetry_equiv_pos_as_xyz
'x,y,z'
loop_
_atom_site_label
_atom_site_fract_x
_atom_site_fract_y
_atom_site_fract_z
Ca1 0.000 0.000 0.000
Ca2 0.007 0.515 0.510
Ca3 0.347 0.320 0.285
Ca4 0.421 0.701 0.050
Ca5 0.507 0.699 0.734
Ca6 0.823 0.506 0.181
Sn1 0.064 0.915 0.652
Sn2 0.143 0.105 0.408
Sn3 0.249 0.315 0.969
Sn4 0.466 0.690 0.386
Sn5 0.490 0.304 0.675
Sn6 0.984 0.613 0.843
S1 0.054 0.270 0.110
S2 0.061 0.523 0.993
S3 0.162 0.573 0.325
S4 0.199 0.955 0.196
S5 0.227 0.797 0.888
S6 0.244 0.483 0.684
S7 0.249 0.101 0.817
S8 0.412 0.833 0.583
S9 0.470 0.186 0.452
S10 0.487 0.001 0.168
S11 0.532 0.145 0.095
S12 0.555 0.431 0.990
S13 0.637 0.759 0.251
S14 0.652 0.506 0.390
S15 0.737 0.776 0.937
S16 0.764 0.502 0.678
S17 0.933 0.017 0.517
S18 0.977 0.267 0.362
# energy of formation from the pure elements: -1.20 eV per atom
# energy: -22.93 eV/f.u.
# V: 29.47 Å³ per atom



Record 5
# GGA-PBE Ca4Sn3S10, optimized geometry
data_Ca4Sn3S10
_chemical_formula_sum 'Ca16 Sn12 S40'
_cell_length_a 6.803
_cell_length_b 7.172
_cell_length_c 33.029
_cell_angle_alpha 90.00
_cell_angle_beta 90.00
_cell_angle_gamma 90.00
_symmetry_space_group_name_H-M 'P b c a'
_symmetry_Int_Tables_number 61
loop_
_symmetry_equiv_pos_as_xyz
'x,y,z'
'-x,-y,-z'
'-x+1/2,-y,z+1/2'
'x+1/2,y,-z+1/2'
'x+1/2,-y+1/2,-z'
'-x+1/2,y+1/2,z'
'-x,y+1/2,-z+1/2'
'x,-y+1/2,z+1/2'
loop_
_atom_site_label
_atom_site_fract_x
_atom_site_fract_y
_atom_site_fract_z
Ca1 0.012 0.083 0.205
Ca2 0.026 0.589 0.570
Sn1 0.000 0.000 0.500
Sn2 0.004 0.000 0.646
S1 0.107 0.044 0.718
S2 0.131 0.049 0.427
S3 0.184 0.185 0.125
S4 0.184 0.189 0.017
S5 0.191 0.202 0.836
# energy of formation from the pure elements: -1.40 eV per atom
# energy: -80.23 eV/f.u.
# V: 23.70 Å³ per atom